No. 1
An optimized crystal structure of Na6MgCo2O6. Source: Materials Project, functional PBE with a Hubbard U.

Summary:
Formation energy, eV per atom: -1.59
E, eV/atom: -4.66
Excess energy over the best structure of this formula in the dataset, meV per atom: 0
Magnetization, μB per formula unit: 6.00

a b c (Å): 5.9171 6.2646 6.2764
angles (deg): 118.25 91.13 90.73
Last column: nearest neighbours and their distance in Å.
Element x y z (fractional)
Na 0.0000 0.0000 0.0000  4 O 2.35-2.61
Na 0.0454 0.3916 0.7896  4 O 2.35-2.58
Na 0.1377 0.5975 0.2700  4 O 2.20-2.41
Na 0.3557 0.3029 0.4166  3 O 2.22-2.33
Na 0.4699 0.8109 0.0209  3 O 2.38-2.61
Na 0.7852 0.6084 0.5459  3 O 2.30-2.57
Mg 0.8149 0.9761 0.4008  4 O 1.97-2.03
Co 0.3355 0.9704 0.6726  4 O 1.98-2.08
Co 0.6257 0.3109 0.0381  4 O 1.98-2.07
O 0.1531 0.0061 0.4239  1 Co 1.98, 1 Mg 2.00
O 0.2048 0.6757 0.6807  1 Co 2.02
O 0.2902 0.2607 0.0003  2 Co 2.00-2.03, 1 Na 2.20
O 0.6850 0.0118 0.7079  1 Mg 2.00, 2 Co 2.07-2.08
O 0.7136 0.2034 0.2861  1 Mg 1.97, 1 Co 2.03
O 0.7698 0.6302 0.1306  1 Co 1.98, 1 Mg 2.03



No. 2
An optimized crystal structure of Na6MgCo2O6. Source: Materials Project, functional PBE with a Hubbard U.

Summary:
Formation energy, eV per atom: -1.55
E, eV/atom: -4.62
Excess energy over the best structure of this formula in the dataset, meV per atom: 39
Magnetization, μB per formula unit: 6.00

a b c (Å): 5.8011 6.1730 6.1988
angles (deg): 111.03 91.92 95.74
Last column: nearest neighbours and their distance in Å.
Element x y z (fractional)
Na 0.0389 0.4397 0.2221  4 O 2.33-2.60
Na 0.2245 0.9872 0.1229  3 O 2.20-2.42
Na 0.3920 0.6972 0.6403  3 O 2.29-2.40
Na 0.6080 0.3028 0.3597  3 O 2.29-2.40
Na 0.7755 0.0128 0.8771  3 O 2.20-2.42
Na 0.9611 0.5603 0.7779  4 O 2.33-2.60
Mg 0.0000 0.0000 0.5000  4 O 1.98-2.14
Co 0.3716 0.3096 0.8138  4 O 1.97-2.05
Co 0.6284 0.6904 0.1862  4 O 1.97-2.05
O 0.1860 0.0115 0.7786  1 Co 1.97, 1 Mg 1.98, 1 Na 2.20
O 0.2295 0.2940 0.5004  1 Co 2.05, 1 Mg 2.14
O 0.3022 0.6221 0.0459  2 Co 1.99-2.04, 1 Na 2.23
O 0.6978 0.3779 0.9541  2 Co 1.99-2.04, 1 Na 2.23
O 0.7705 0.7060 0.4996  1 Co 2.05, 1 Mg 2.14
O 0.8140 0.9885 0.2214  1 Co 1.97, 1 Mg 1.98, 1 Na 2.20



No. 3
An optimized crystal structure of NaMgCoO2. Source: Materials Project, functional PBE with a Hubbard U.

Summary:
Formation energy, eV per atom: -1.55
E, eV/atom: -4.93
Excess energy over the best structure of this formula in the dataset, meV per atom: 0
Magnetization, μB per formula unit: 2.05

a b c (Å): 3.3004 3.3004 7.5940
angles (deg): 91.41 91.41 60.04
Last column: nearest neighbours and their distance in Å.
Element x y z (fractional)
Na 0.0000 0.0000 0.0000  3 O 2.44
Mg 0.6784 0.6784 0.3075  4 O 1.98-2.07
Co 0.0205 0.0205 0.6222  3 O 1.95
O 0.3411 0.3411 0.2014  3 Mg 2.07
O 0.6848 0.6848 0.5688  3 Co 1.95, 1 Mg 1.98



No. 4
An optimized crystal structure of Na6MgCo2O6. Source: Materials Project, functional PBE with a Hubbard U.

Summary:
Formation energy, eV per atom: -1.57
E, eV/atom: -4.64
Excess energy over the best structure of this formula in the dataset, meV per atom: 23
Magnetization, μB per formula unit: 6.00

a b c (Å): 4.4054 7.5924 7.8899
angles (deg): 115.19 90.95 90.83
Last column: nearest neighbours and their distance in Å.
Element x y z (fractional)
Na 0.1917 0.1191 0.3457  4 O 2.34-2.47
Na 0.2216 0.2473 0.8420  3 O 2.30-2.38
Na 0.2842 0.6131 0.4313  3 O 2.25-2.34
Na 0.7158 0.3869 0.5687  3 O 2.25-2.34
Na 0.7784 0.7527 0.1580  3 O 2.30-2.38
Na 0.8083 0.8809 0.6543  4 O 2.34-2.47
Mg 0.5000 0.0000 0.0000  4 O 2.03-2.05
Co 0.2378 0.6453 0.8201  3 O 1.81-1.96
Co 0.7622 0.3547 0.1799  3 O 1.81-1.96
O 0.2142 0.3973 0.6429  1 Co 1.81
O 0.2778 0.8053 0.0744  1 Co 1.85, 1 Mg 2.05
O 0.3111 0.8531 0.7404  1 Co 1.96, 1 Mg 2.03
O 0.6889 0.1469 0.2596  1 Co 1.96, 1 Mg 2.03
O 0.7222 0.1947 0.9256  1 Co 1.85, 1 Mg 2.05
O 0.7858 0.6027 0.3571  1 Co 1.81



No. 5
An optimized crystal structure of NaMg6CoO8. Source: Materials Project, functional PBE with a Hubbard U.

Summary:
Formation energy, eV per atom: -2.55
E, eV/atom: -5.71
Excess energy over the best structure of this formula in the dataset, meV per atom: 11
Magnetization, μB per formula unit: 2.00

a b c (Å): 4.3199 4.3199 8.4301
angles (deg): 90.00 90.00 90.00
Last column: nearest neighbours and their distance in Å.
Element x y z (fractional)
Na 0.0000 0.0000 0.0000  6 O 2.16-2.35
Mg 0.0000 0.5000 0.2448  6 O 2.06-2.18
Mg 0.0000 0.5000 0.7552  6 O 2.06-2.18
Mg 0.5000 0.0000 0.2448  6 O 2.06-2.18
Mg 0.5000 0.0000 0.7552  6 O 2.06-2.18
Mg 0.5000 0.5000 0.0000  6 O 2.13-2.16
Mg 0.5000 0.5000 0.5000  6 O 2.08-2.16
Co 0.0000 0.0000 0.5000  2 O 1.87
O 0.0000 0.0000 0.2782  1 Co 1.87
O 0.0000 0.0000 0.7218  1 Co 1.87
O 0.0000 0.5000 0.0000  4 Mg 2.06-2.16, 2 Na 2.16
O 0.0000 0.5000 0.5000  4 Mg 2.15-2.16, 2 Co 2.16
O 0.5000 0.0000 0.0000  4 Mg 2.06-2.16, 2 Na 2.16
O 0.5000 0.0000 0.5000  4 Mg 2.15-2.16, 2 Co 2.16
O 0.5000 0.5000 0.2532  6 Mg 2.08-2.16
O 0.5000 0.5000 0.7468  6 Mg 2.08-2.16



No. 6
An optimized crystal structure of Na3MgCo5O10. Source: Materials Project, functional PBE with a Hubbard U.

Summary:
Formation energy, eV per atom: -1.47
E, eV/atom: -5.45
Excess energy over the best structure of this formula in the dataset, meV per atom: 0
Magnetization, μB per formula unit: 18.00

a b c (Å): 5.1620 6.0034 7.7822
angles (deg): 75.49 75.38 65.01
Last column: nearest neighbours and their distance in Å.
Element x y z (fractional)
Na 0.0000 0.0000 0.0000  6 O 2.30-2.56
Na 0.1488 0.0148 0.5361  6 O 2.30-2.51
Na 0.7181 0.0223 0.3519  5 O 2.31-2.50
Mg 0.5678 0.0154 0.7857  6 O 2.11-2.34
Co 0.1711 0.4711 0.0924  4 O 1.90-2.00
Co 0.3636 0.5301 0.6823  3 O 1.87-2.06
Co 0.5651 0.5412 0.2606  4 O 1.87-1.94
Co 0.7755 0.5105 0.8699  6 O 1.91-2.13
Co 0.9783 0.5114 0.4790  5 O 1.94-2.07
O 0.1570 0.6941 0.2497  3 Co 1.92-2.07
O 0.2110 0.3023 0.9046  3 Co 1.90-2.13, 1 Mg 2.11
O 0.3549 0.2948 0.5430  2 Co 1.94-2.00
O 0.3673 0.7546 0.8091  2 Co 1.87-2.09
O 0.5661 0.6920 0.4432  2 Co 1.87-2.00
O 0.5859 0.3316 0.1087  2 Co 1.89-1.97
O 0.7546 0.7320 0.0158  1 Co 1.91
O 0.7724 0.2861 0.7279  2 Co 1.95-2.06
O 0.9246 0.7355 0.6476  3 Co 2.00-2.12, 1 Mg 2.16
O 0.9573 0.3246 0.2988  3 Co 1.94-2.05